(1)
A geometry-optimized Na2SO4 structure, computed with GGA-PBE.

a b c (Å): 9.6664 7.0659 5.3412
angles (deg): 90.00 90.00 90.00
Sites, in units of the cell vectors:
Na 0.0000 0.0000 0.0000
Na 0.0000 0.5000 0.0000
Na 0.1494 0.2500 0.4776
Na 0.3506 0.7500 0.9776
Na 0.5000 0.0000 0.5000
Na 0.5000 0.5000 0.5000
Na 0.6494 0.2500 0.0224
Na 0.8506 0.7500 0.5224
S 0.1772 0.7500 0.4827
S 0.3228 0.2500 0.9827
S 0.6772 0.7500 0.0173
S 0.8228 0.2500 0.5173
O 0.1214 0.5780 0.3580
O 0.1214 0.9220 0.3580
O 0.1350 0.7500 0.7526
O 0.1678 0.2500 0.9606
O 0.3322 0.7500 0.4606
O 0.3650 0.2500 0.2526
O 0.3786 0.0780 0.8580
O 0.3786 0.4220 0.8580
O 0.6214 0.5780 0.1420
O 0.6214 0.9220 0.1420
O 0.6350 0.7500 0.7474
O 0.6678 0.2500 0.5394
O 0.8322 0.7500 0.0394
O 0.8650 0.2500 0.2474
O 0.8786 0.0780 0.6420
O 0.8786 0.4220 0.6420

calculated formation energy	-15.43	eV per formula unit
VASP energy	-157.0	eV for the cell shown
space group	No. 62


(2)
A geometry-optimized CaPS3 structure, computed with GGA-PBE.

a b c (Å): 6.6246 7.3560 11.1817
angles (deg): 90.00 124.05 90.00
Sites, in units of the cell vectors:
Ca 0.2142 0.1195 0.2523
Ca 0.2142 0.3805 0.7523
Ca 0.7858 0.6195 0.2477
Ca 0.7858 0.8805 0.7477
P 0.1352 0.6087 0.0661
P 0.1352 0.8913 0.5661
P 0.8648 0.1087 0.4339
P 0.8648 0.3913 0.9339
S 0.0792 0.1939 0.9320
S 0.0792 0.3061 0.4320
S 0.2735 0.6938 0.9528
S 0.2735 0.8062 0.4528
S 0.3834 0.0065 0.7594
S 0.3834 0.4935 0.2594
S 0.6166 0.5065 0.7406
S 0.6166 0.9935 0.2406
S 0.7265 0.1938 0.5472
S 0.7265 0.3062 0.0472
S 0.9208 0.6939 0.5680
S 0.9208 0.8061 0.0680

calculated formation energy	-6.79	eV per formula unit
VASP energy	-100.4	eV for the cell shown
space group	No. 14


(3)
A geometry-optimized Mg7Bi structure, computed with GGA-PBE.

a b c (Å): 6.3989 6.3989 5.3861
angles (deg): 90.00 90.00 120.00
Sites, in units of the cell vectors:
Mg 0.0000 0.0000 0.0000
Mg 0.3321 0.1661 0.5000
Mg 0.5021 0.0042 0.0000
Mg 0.5021 0.4979 0.0000
Mg 0.8339 0.1661 0.5000
Mg 0.8339 0.6679 0.5000
Mg 0.9958 0.4979 0.0000
Bi 0.3333 0.6667 0.5000

calculated formation energy	-0.21	eV per formula unit
VASP energy	-15.3	eV for the cell shown
space group	No. 187


(4)
A geometry-optimized Ca2P2O7 structure, computed with GGA-PBE.

a b c (Å): 6.7724 6.7724 24.5046
angles (deg): 90.00 90.00 90.00
Sites, in units of the cell vectors:
Ca 0.0517 0.3400 0.0000
Ca 0.1301 0.3900 0.6427
Ca 0.2402 0.7019 0.8956
Ca 0.2697 0.6396 0.2582
Ca 0.2981 0.2402 0.1456
Ca 0.3400 0.9483 0.7500
Ca 0.3604 0.2697 0.5082
Ca 0.3900 0.8699 0.3927
Ca 0.6100 0.1301 0.8927
Ca 0.6396 0.7303 0.0082
Ca 0.6600 0.0517 0.2500
Ca 0.7019 0.7598 0.6456
Ca 0.7303 0.3604 0.7582
Ca 0.7598 0.2981 0.3956
Ca 0.8699 0.6100 0.1427
Ca 0.9483 0.6600 0.5000
P 0.1276 0.8098 0.0309
P 0.1489 0.2069 0.8796
P 0.1902 0.1276 0.2809
P 0.2069 0.8511 0.6296
P 0.2167 0.4432 0.7767
P 0.2424 0.3730 0.3824
P 0.3730 0.7576 0.1324
P 0.4432 0.7833 0.5267
P 0.5568 0.2167 0.0267
P 0.6270 0.2424 0.6324
P 0.7576 0.6270 0.8824
P 0.7833 0.5568 0.2767
P 0.7931 0.1489 0.1296
P 0.8098 0.8724 0.7809
P 0.8511 0.7931 0.3796
P 0.8724 0.1902 0.5309
O 0.0034 0.0401 0.2585
O 0.0310 0.7218 0.6116
O 0.0329 0.3391 0.5495
O 0.0401 0.9966 0.0085
O 0.0461 0.8483 0.4056
O 0.0561 0.4613 0.7331
O 0.0833 0.4023 0.4260
O 0.0910 0.3316 0.8250
O 0.1235 0.2441 0.3368
O 0.1517 0.0461 0.6556
O 0.2438 0.5895 0.1558
O 0.2441 0.8765 0.0868
O 0.2732 0.3476 0.9156
O 0.2782 0.0310 0.8616
O 0.2784 0.7019 0.9944
O 0.2884 0.6386 0.8007
O 0.2981 0.2784 0.2444
O 0.3063 0.6165 0.5082
O 0.3199 0.5574 0.3537
O 0.3316 0.9090 0.5750
O 0.3391 0.9671 0.2995
O 0.3476 0.7268 0.6656
O 0.3614 0.2884 0.0507
O 0.3835 0.3063 0.7582
O 0.4023 0.9167 0.1760
O 0.4105 0.2438 0.4058
O 0.4426 0.3199 0.6037
O 0.4613 0.9439 0.4831
O 0.5387 0.0561 0.9831
O 0.5574 0.6801 0.1037
O 0.5895 0.7562 0.9058
O 0.5977 0.0833 0.6760
O 0.6165 0.6937 0.2582
O 0.6386 0.7116 0.5507
O 0.6524 0.2732 0.1656
O 0.6609 0.0329 0.7995
O 0.6684 0.0910 0.0750
O 0.6801 0.4426 0.8537
O 0.6937 0.3835 0.0082
O 0.7019 0.7216 0.7444
O 0.7116 0.3614 0.3007
O 0.7216 0.2981 0.4944
O 0.7218 0.9690 0.3616
O 0.7268 0.6524 0.4156
O 0.7559 0.1235 0.5868
O 0.7562 0.4105 0.6558
O 0.8483 0.9539 0.1556
O 0.8765 0.7559 0.8368
O 0.9090 0.6684 0.3250
O 0.9167 0.5977 0.9260
O 0.9439 0.5387 0.2331
O 0.9539 0.1517 0.9056
O 0.9599 0.0034 0.5085
O 0.9671 0.6609 0.0495
O 0.9690 0.2782 0.1116
O 0.9966 0.9599 0.7585

calculated formation energy	-35.31	eV per formula unit
VASP energy	-639.8	eV for the cell shown
space group	No. 76


(5)
A geometry-optimized Eu3Al5O12 structure, computed with GGA-PBE.

a b c (Å): 10.6327 10.6327 10.6327
angles (deg): 109.47 109.47 109.47
Sites, in units of the cell vectors:
Eu 0.1250 0.2500 0.3750
Eu 0.1250 0.3750 0.7500
Eu 0.2500 0.3750 0.1250
Eu 0.2500 0.8750 0.6250
Eu 0.3750 0.1250 0.2500
Eu 0.3750 0.7500 0.1250
Eu 0.6250 0.2500 0.8750
Eu 0.6250 0.8750 0.7500
Eu 0.7500 0.1250 0.3750
Eu 0.7500 0.6250 0.8750
Eu 0.8750 0.6250 0.2500
Eu 0.8750 0.7500 0.6250
Al 0.0000 0.0000 0.0000
Al 0.0000 0.0000 0.5000
Al 0.0000 0.5000 0.0000
Al 0.0000 0.5000 0.5000
Al 0.1250 0.7500 0.8750
Al 0.1250 0.8750 0.2500
Al 0.2500 0.1250 0.8750
Al 0.2500 0.6250 0.3750
Al 0.3750 0.2500 0.6250
Al 0.3750 0.6250 0.7500
Al 0.5000 0.0000 0.0000
Al 0.5000 0.0000 0.5000
Al 0.5000 0.5000 0.0000
Al 0.5000 0.5000 0.5000
Al 0.6250 0.3750 0.2500
Al 0.6250 0.7500 0.3750
Al 0.7500 0.3750 0.6250
Al 0.7500 0.8750 0.1250
Al 0.8750 0.1250 0.7500
Al 0.8750 0.2500 0.1250
O 0.0150 0.1953 0.1155
O 0.0150 0.3197 0.8995
O 0.0798 0.6953 0.6803
O 0.0798 0.8845 0.3995
O 0.1005 0.6155 0.4202
O 0.1005 0.9850 0.6803
O 0.1155 0.0150 0.1953
O 0.1155 0.6005 0.9202
O 0.1803 0.1953 0.5798
O 0.1803 0.4850 0.6005
O 0.1953 0.1155 0.0150
O 0.1953 0.5798 0.1803
O 0.3047 0.3197 0.9202
O 0.3047 0.4850 0.3845
O 0.3197 0.8995 0.0150
O 0.3197 0.9202 0.3047
O 0.3845 0.3047 0.4850
O 0.3845 0.5798 0.8995
O 0.3995 0.0798 0.8845
O 0.3995 0.8197 0.5150
O 0.4202 0.1005 0.6155
O 0.4202 0.8197 0.8047
O 0.4850 0.3845 0.3047
O 0.4850 0.6005 0.1803
O 0.5150 0.3995 0.8197
O 0.5150 0.6155 0.6953
O 0.5798 0.1803 0.1953
O 0.5798 0.8995 0.3845
O 0.6005 0.1803 0.4850
O 0.6005 0.9202 0.1155
O 0.6155 0.4202 0.1005
O 0.6155 0.6953 0.5150
O 0.6803 0.0798 0.6953
O 0.6803 0.1005 0.9850
O 0.6953 0.5150 0.6155
O 0.6953 0.6803 0.0798
O 0.8047 0.4202 0.8197
O 0.8047 0.8845 0.9850
O 0.8197 0.5150 0.3995
O 0.8197 0.8047 0.4202
O 0.8845 0.3995 0.0798
O 0.8845 0.9850 0.8047
O 0.8995 0.0150 0.3197
O 0.8995 0.3845 0.5798
O 0.9202 0.1155 0.6005
O 0.9202 0.3047 0.3197
O 0.9850 0.6803 0.1005
O 0.9850 0.8047 0.8845

calculated formation energy	-67.01	eV per formula unit
VASP energy	-670.6	eV for the cell shown
space group	No. 230


(6)
A geometry-optimized CaAlSiO5 structure, computed with GGA-PBE.

a b c (Å): 5.4035 5.4035 7.0303
angles (deg): 103.07 103.07 106.97
Sites, in units of the cell vectors:
Ca 0.1728 0.8272 0.7500
Ca 0.8272 0.1728 0.2500
Al 0.5000 0.5000 0.0000
Al 0.5000 0.5000 0.5000
Si 0.1854 0.8146 0.2500
Si 0.8146 0.1854 0.7500
O 0.1299 0.2595 0.8954
O 0.1937 0.6138 0.3936
O 0.2595 0.1299 0.3955
O 0.3862 0.8063 0.1064
O 0.4388 0.5612 0.7500
O 0.5612 0.4388 0.2500
O 0.6138 0.1937 0.8936
O 0.7405 0.8701 0.6046
O 0.8063 0.3862 0.6064
O 0.8701 0.7405 0.1046

calculated formation energy	-25.35	eV per formula unit
VASP energy	-115.7	eV for the cell shown
space group	No. 15


(7)
A geometry-optimized PrLuO3 structure, computed with GGA-PBE.

a b c (Å): 6.0103 8.3597 5.7706
angles (deg): 90.00 90.00 90.00
Sites, in units of the cell vectors:
Pr 0.0539 0.2500 0.0157
Pr 0.4461 0.7500 0.5157
Pr 0.5539 0.2500 0.4843
Pr 0.9461 0.7500 0.9843
Lu 0.0000 0.0000 0.5000
Lu 0.0000 0.5000 0.5000
Lu 0.5000 0.0000 0.0000
Lu 0.5000 0.5000 0.0000
O 0.0541 0.7500 0.3769
O 0.1942 0.5647 0.8081
O 0.1942 0.9353 0.8081
O 0.3058 0.0647 0.3081
O 0.3058 0.4353 0.3081
O 0.4459 0.2500 0.8769
O 0.5541 0.7500 0.1231
O 0.6942 0.5647 0.6919
O 0.6942 0.9353 0.6919
O 0.8058 0.0647 0.1919
O 0.8058 0.4353 0.1919
O 0.9459 0.2500 0.6231

calculated formation energy	-19.58	eV per formula unit
VASP energy	-166.7	eV for the cell shown
space group	No. 62


(8)
A geometry-optimized MgAl4H12O12 structure, computed with GGA-PBE.

a b c (Å): 5.1887 7.3083 7.3244
angles (deg): 89.79 70.26 72.09
Sites, in units of the cell vectors:
Mg 0.0000 0.0000 0.0000
Al 0.1021 0.9805 0.3962
Al 0.1256 0.4937 0.8503
Al 0.4135 0.6057 0.1353
Al 0.4597 0.1369 0.5457
H 0.2063 0.2946 0.3092
H 0.3488 0.1677 0.8988
H 0.3679 0.8200 0.6085
H 0.4817 0.4705 0.5039
H 0.4978 0.9399 0.0484
H 0.6388 0.0895 0.9674
H 0.7114 0.4438 0.8038
H 0.7437 0.0687 0.7641
H 0.7561 0.2507 0.2761
H 0.8552 0.4933 0.2058
H 0.9096 0.7077 0.3983
H 0.9694 0.7990 0.7451
O 0.0892 0.7547 0.8262
O 0.0973 0.7243 0.3713
O 0.1923 0.2083 0.4117
O 0.2018 0.1832 0.8353
O 0.2162 0.4803 0.0612
O 0.3464 0.8778 0.1150
O 0.4012 0.9028 0.5031
O 0.4103 0.3978 0.6153
O 0.6527 0.4907 0.2642
O 0.7430 0.5350 0.8841
O 0.7779 0.0310 0.6236
O 0.7945 0.1080 0.2930

calculated formation energy	-57.09	eV per formula unit
VASP energy	-165.5	eV for the cell shown
space group	No. 1